Version one
# K2Mg2Mo3O12

An optimized crystal structure of K2Mg2Mo3O12 (GGA+U, the Materials Project).

The structure in CIF format:
```
data_K2Mg2Mo3O12
_cell_length_a 9.198
_cell_length_b 7.102
_cell_length_c 20.643
_cell_angle_alpha 71.23
_cell_angle_beta 90.00
_cell_angle_gamma 90.00
_symmetry_space_group_name_H-M 'P 1'
_symmetry_Int_Tables_number 1
loop_
_symmetry_equiv_pos_as_xyz
'x,y,z'
loop_
_atom_site_label
_atom_site_type_symbol
_atom_site_fract_x
_atom_site_fract_y
_atom_site_fract_z
O1 O 0.748 0.158 0.491
O2 O 0.252 0.842 0.509
O3 O 0.045 0.644 0.438
O4 O 0.786 0.984 0.650
O5 O 0.900 0.174 0.868
O6 O 0.339 0.555 0.143
O7 O 0.248 0.842 0.009
O8 O 0.839 0.445 0.357
O9 O 0.202 0.465 0.902
O10 O 0.286 0.016 0.850
O11 O 0.389 0.999 0.111
O12 O 0.309 0.785 0.266
O13 O 0.000 0.177 0.716
O14 O 0.000 0.823 0.284
O15 O 0.691 0.215 0.734
O16 O 0.809 0.215 0.234
O17 O 0.741 0.632 0.457
O18 O 0.500 0.177 0.216
O19 O 0.661 0.445 0.857
O20 O 0.100 0.826 0.132
O21 O 0.321 0.169 0.698
O22 O 0.759 0.632 0.957
O23 O 0.798 0.535 0.098
O24 O 0.752 0.158 0.991
O25 O 0.611 0.001 0.889
O26 O 0.437 0.196 0.961
O27 O 0.214 0.016 0.350
O28 O 0.191 0.785 0.766
O29 O 0.563 0.804 0.039
O30 O 0.111 0.999 0.611
O31 O 0.889 0.001 0.389
O32 O 0.400 0.826 0.632
O33 O 0.937 0.804 0.539
O34 O 0.241 0.368 0.043
O35 O 0.455 0.644 0.938
O36 O 0.679 0.831 0.302
O37 O 0.298 0.465 0.402
O38 O 0.063 0.196 0.461
O39 O 0.821 0.831 0.802
O40 O 0.714 0.984 0.150
O41 O 0.545 0.356 0.062
O42 O 0.179 0.169 0.198
O43 O 0.955 0.356 0.562
O44 O 0.702 0.535 0.598
O45 O 0.161 0.555 0.643
O46 O 0.259 0.368 0.543
O47 O 0.600 0.174 0.368
O48 O 0.500 0.823 0.784
Mo1 Mo 0.160 0.417 0.464
Mo2 Mo 0.173 0.949 0.274
Mo3 Mo 0.340 0.417 0.964
Mo4 Mo 0.227 0.802 0.599
Mo5 Mo 0.327 0.949 0.774
Mo6 Mo 0.773 0.198 0.401
Mo7 Mo 0.673 0.051 0.226
Mo8 Mo 0.273 0.802 0.099
Mo9 Mo 0.727 0.198 0.901
Mo10 Mo 0.840 0.583 0.536
Mo11 Mo 0.660 0.583 0.036
Mo12 Mo 0.827 0.051 0.726
K1 K 0.531 0.199 0.594
K2 K 0.469 0.801 0.406
K3 K 0.031 0.801 0.906
K4 K 0.969 0.199 0.094
K5 K 0.383 0.404 0.287
K6 K 0.117 0.404 0.787
K7 K 0.617 0.596 0.713
K8 K 0.883 0.596 0.213
Mg1 Mg 0.410 0.937 0.938
Mg2 Mg 0.644 0.728 0.865
Mg3 Mg 0.144 0.272 0.635
Mg4 Mg 0.910 0.063 0.562
Mg5 Mg 0.590 0.063 0.062
Mg6 Mg 0.356 0.272 0.135
Mg7 Mg 0.856 0.728 0.365
Mg8 Mg 0.090 0.937 0.438
```

Spin magnetization in Bohr magnetons per cell: 0.00

***

Version two
# K2Mg2Mo3O12

An optimized crystal structure of K2Mg2Mo3O12 (GGA+U, the Materials Project).

The structure in CIF format:
```
data_K2Mg2Mo3O12
_cell_length_a 10.785
_cell_length_b 10.796
_cell_length_c 32.363
_cell_angle_alpha 90.00
_cell_angle_beta 90.00
_cell_angle_gamma 90.00
_symmetry_space_group_name_H-M 'P 1'
_symmetry_Int_Tables_number 1
loop_
_symmetry_equiv_pos_as_xyz
'x,y,z'
loop_
_atom_site_label
_atom_site_type_symbol
_atom_site_fract_x
_atom_site_fract_y
_atom_site_fract_z
O1 O 0.851 0.221 0.978
O2 O 0.569 0.805 0.686
O3 O 0.698 0.104 0.228
O4 O 0.777 0.960 0.823
O5 O 0.019 0.909 0.782
O6 O 0.380 0.821 0.920
O7 O 0.729 0.867 0.393
O8 O 0.198 0.396 0.772
O9 O 0.198 0.291 0.190
O10 O 0.964 0.955 0.423
O11 O 0.878 0.674 0.433
O12 O 0.234 0.942 0.732
O13 O 0.750 0.275 0.497
O14 O 0.464 0.545 0.577
O15 O 0.822 0.483 0.016
O16 O 0.649 0.779 0.478
O17 O 0.963 0.747 0.930
O18 O 0.990 0.787 0.151
O19 O 0.541 0.826 0.330
O20 O 0.285 0.085 0.574
O21 O 0.785 0.415 0.426
O22 O 0.620 0.321 0.580
O23 O 0.037 0.247 0.570
O24 O 0.536 0.045 0.923
O25 O 0.203 0.463 0.339
O26 O 0.271 0.367 0.107
O27 O 0.309 0.697 0.357
O28 O 0.236 0.477 0.529
O29 O 0.526 0.537 0.118
O30 O 0.974 0.463 0.618
O31 O 0.351 0.279 0.022
O32 O 0.686 0.732 0.789
O33 O 0.814 0.268 0.289
O34 O 0.042 0.479 0.411
O35 O 0.433 0.054 0.070
O36 O 0.723 0.040 0.323
O37 O 0.286 0.924 0.311
O38 O 0.191 0.303 0.857
O39 O 0.830 0.237 0.633
O40 O 0.090 0.342 0.996
O41 O 0.931 0.195 0.186
O42 O 0.567 0.554 0.430
O43 O 0.973 0.128 0.499
O44 O 0.122 0.174 0.067
O45 O 0.378 0.826 0.567
O46 O 0.783 0.435 0.102
O47 O 0.330 0.263 0.367
O48 O 0.223 0.460 0.677
O49 O 0.729 0.921 0.060
O50 O 0.006 0.963 0.224
O51 O 0.314 0.232 0.711
O52 O 0.654 0.445 0.851
O53 O 0.215 0.915 0.074
O54 O 0.981 0.409 0.718
O55 O 0.944 0.705 0.579
O56 O 0.734 0.558 0.268
O57 O 0.494 0.037 0.724
O58 O 0.154 0.055 0.149
O59 O 0.910 0.740 0.843
O60 O 0.302 0.709 0.690
O61 O 0.026 0.963 0.882
O62 O 0.322 0.017 0.984
O63 O 0.802 0.896 0.728
O64 O 0.283 0.065 0.898
O65 O 0.766 0.442 0.768
O66 O 0.880 0.679 0.080
O67 O 0.510 0.213 0.651
O68 O 0.590 0.260 0.343
O69 O 0.444 0.795 0.421
O70 O 0.068 0.202 0.267
O71 O 0.481 0.091 0.282
O72 O 0.802 0.791 0.310
O73 O 0.797 0.963 0.161
O74 O 0.932 0.702 0.233
O75 O 0.459 0.326 0.170
O76 O 0.214 0.076 0.811
O77 O 0.302 0.604 0.272
O78 O 0.439 0.852 0.238
O79 O 0.474 0.037 0.382
O80 O 0.229 0.633 0.607
O81 O 0.410 0.760 0.157
O82 O 0.061 0.148 0.738
O83 O 0.691 0.197 0.143
O84 O 0.170 0.737 0.867
O85 O 0.750 0.725 0.997
O86 O 0.542 0.021 0.589
O87 O 0.959 0.174 0.830
O88 O 0.958 0.979 0.089
O89 O 0.090 0.240 0.657
O90 O 0.067 0.946 0.570
O91 O 0.703 0.037 0.661
O92 O 0.069 0.695 0.314
O93 O 0.250 0.775 0.003
O94 O 0.786 0.576 0.689
O95 O 0.622 0.326 0.933
O96 O 0.250 0.225 0.503
O97 O 0.229 0.579 0.940
O98 O 0.346 0.945 0.649
O99 O 0.149 0.721 0.522
O100 O 0.678 0.517 0.516
O101 O 0.537 0.253 0.430
O102 O 0.715 0.585 0.926
O103 O 0.717 0.565 0.602
O104 O 0.178 0.983 0.484
O105 O 0.939 0.648 0.762
O106 O 0.933 0.446 0.930
O107 O 0.120 0.179 0.420
O108 O 0.736 0.023 0.471
O109 O 0.670 0.763 0.133
O110 O 0.527 0.872 0.999
O111 O 0.764 0.977 0.971
O112 O 0.036 0.455 0.077
O113 O 0.217 0.935 0.398
O114 O 0.714 0.424 0.189
O115 O 0.771 0.133 0.893
O116 O 0.186 0.768 0.211
O117 O 0.041 0.674 0.670
O118 O 0.458 0.521 0.911
O119 O 0.410 0.658 0.496
O120 O 0.556 0.295 0.079
O121 O 0.771 0.079 0.560
O122 O 0.506 0.537 0.776
O123 O 0.473 0.372 0.501
O124 O 0.698 0.209 0.810
O125 O 0.432 0.798 0.767
O126 O 0.027 0.628 0.001
O127 O 0.846 0.555 0.351
O128 O 0.431 0.305 0.814
O129 O 0.297 0.537 0.839
O130 O 0.910 0.842 0.504
O131 O 0.519 0.591 0.218
O132 O 0.266 0.058 0.232
O133 O 0.590 0.158 0.004
O134 O 0.264 0.523 0.029
O135 O 0.010 0.287 0.349
O136 O 0.277 0.540 0.177
O137 O 0.561 0.352 0.262
O138 O 0.809 0.803 0.643
O139 O 0.463 0.753 0.070
O140 O 0.994 0.463 0.276
O141 O 0.568 0.298 0.733
O142 O 0.490 0.713 0.849
O143 O 0.271 0.421 0.440
O144 O 0.056 0.205 0.921
Mg1 Mg 0.899 0.628 0.293
Mg2 Mg 0.853 0.817 0.785
Mg3 Mg 0.314 0.648 0.551
Mg4 Mg 0.601 0.372 0.793
Mg5 Mg 0.665 0.156 0.611
Mg6 Mg 0.369 0.897 0.035
Mg7 Mg 0.399 0.872 0.707
Mg8 Mg 0.378 0.874 0.367
Mg9 Mg 0.335 0.656 0.889
Mg10 Mg 0.122 0.126 0.867
Mg11 Mg 0.186 0.352 0.051
Mg12 Mg 0.835 0.844 0.111
Mg13 Mg 0.131 0.103 0.535
Mg14 Mg 0.869 0.603 0.965
Mg15 Mg 0.147 0.317 0.715
Mg16 Mg 0.631 0.397 0.465
Mg17 Mg 0.622 0.374 0.133
Mg18 Mg 0.353 0.683 0.215
Mg19 Mg 0.647 0.183 0.285
Mg20 Mg 0.878 0.626 0.633
Mg21 Mg 0.814 0.852 0.449
Mg22 Mg 0.165 0.344 0.389
Mg23 Mg 0.101 0.128 0.207
Mg24 Mg 0.686 0.148 0.949
Mo1 Mo 0.479 0.194 0.043
Mo2 Mo 0.191 0.624 0.992
Mo3 Mo 0.283 0.383 0.819
Mo4 Mo 0.804 0.118 0.840
Mo5 Mo 0.196 0.618 0.660
Mo6 Mo 0.385 0.968 0.596
Mo7 Mo 0.980 0.297 0.620
Mo8 Mo 0.528 0.692 0.795
Mo9 Mo 0.115 0.032 0.096
Mo10 Mo 0.631 0.477 0.234
Mo11 Mo 0.884 0.517 0.067
Mo12 Mo 0.615 0.468 0.904
Mo13 Mo 0.809 0.124 0.508
Mo14 Mo 0.717 0.883 0.681
Mo15 Mo 0.217 0.617 0.319
Mo16 Mo 0.691 0.876 0.008
Mo17 Mo 0.384 0.983 0.933
Mo18 Mo 0.616 0.483 0.567
Mo19 Mo 0.696 0.882 0.340
Mo20 Mo 0.521 0.694 0.457
Mo21 Mo 0.309 0.376 0.492
Mo22 Mo 0.304 0.382 0.160
Mo23 Mo 0.869 0.523 0.734
Mo24 Mo 0.885 0.532 0.404
Mo25 Mo 0.783 0.117 0.181
Mo26 Mo 0.979 0.306 0.957
Mo27 Mo 0.028 0.808 0.205
Mo28 Mo 0.369 0.977 0.266
Mo29 Mo 0.520 0.703 0.120
Mo30 Mo 0.972 0.308 0.295
Mo31 Mo 0.116 0.017 0.433
Mo32 Mo 0.480 0.203 0.380
Mo33 Mo 0.131 0.023 0.766
Mo34 Mo 0.021 0.806 0.543
Mo35 Mo 0.472 0.192 0.705
Mo36 Mo 0.020 0.797 0.880
K1 K 0.038 0.968 0.977
K2 K 0.810 0.181 0.062
K3 K 0.179 0.674 0.105
K4 K 0.185 0.688 0.775
K5 K 0.821 0.174 0.395
K6 K 0.034 0.953 0.315
K7 K 0.685 0.812 0.225
K8 K 0.966 0.453 0.185
K9 K 0.962 0.468 0.523
K10 K 0.815 0.188 0.725
K11 K 0.538 0.532 0.023
K12 K 0.926 0.460 0.844
K13 K 0.315 0.312 0.275
K14 K 0.462 0.032 0.477
K15 K 0.466 0.047 0.815
K16 K 0.679 0.826 0.895
K17 K 0.190 0.681 0.438
K18 K 0.690 0.819 0.562
K19 K 0.321 0.326 0.605
K20 K 0.426 0.040 0.156
K21 K 0.074 0.960 0.656
K22 K 0.310 0.319 0.938
K23 K 0.534 0.547 0.685
K24 K 0.574 0.540 0.344
```

Spin magnetization in Bohr magnetons per cell: 0.00

***

Version three
# K2Mg2Mo3O12

An optimized crystal structure of K2Mg2Mo3O12 (GGA+U, the Materials Project).

The structure in CIF format:
```
data_K2Mg2Mo3O12
_cell_length_a 10.928
_cell_length_b 10.928
_cell_length_c 10.928
_cell_angle_alpha 90.00
_cell_angle_beta 90.00
_cell_angle_gamma 90.00
_symmetry_space_group_name_H-M 'P 1'
_symmetry_Int_Tables_number 1
loop_
_symmetry_equiv_pos_as_xyz
'x,y,z'
loop_
_atom_site_label
_atom_site_type_symbol
_atom_site_fract_x
_atom_site_fract_y
_atom_site_fract_z
O1 O 0.065 0.730 0.986
O2 O 0.435 0.270 0.486
O3 O 0.054 0.325 0.016
O4 O 0.176 0.259 0.404
O5 O 0.016 0.054 0.325
O6 O 0.193 0.735 0.449
O7 O 0.096 0.824 0.759
O8 O 0.516 0.446 0.675
O9 O 0.484 0.946 0.825
O10 O 0.449 0.193 0.735
O11 O 0.984 0.554 0.175
O12 O 0.986 0.065 0.730
O13 O 0.675 0.516 0.446
O14 O 0.175 0.984 0.554
O15 O 0.949 0.307 0.265
O16 O 0.596 0.676 0.241
O17 O 0.486 0.435 0.270
O18 O 0.324 0.741 0.904
O19 O 0.824 0.759 0.096
O20 O 0.270 0.486 0.435
O21 O 0.735 0.449 0.193
O22 O 0.265 0.949 0.307
O23 O 0.241 0.596 0.676
O24 O 0.014 0.565 0.770
O25 O 0.446 0.675 0.516
O26 O 0.404 0.176 0.259
O27 O 0.730 0.986 0.065
O28 O 0.759 0.096 0.824
O29 O 0.554 0.175 0.984
O30 O 0.765 0.551 0.693
O31 O 0.825 0.484 0.946
O32 O 0.565 0.770 0.014
O33 O 0.693 0.765 0.551
O34 O 0.051 0.807 0.235
O35 O 0.904 0.324 0.741
O36 O 0.946 0.825 0.484
O37 O 0.307 0.265 0.949
O38 O 0.514 0.935 0.230
O39 O 0.676 0.241 0.596
O40 O 0.770 0.014 0.565
O41 O 0.807 0.235 0.051
O42 O 0.230 0.514 0.935
O43 O 0.325 0.016 0.054
O44 O 0.551 0.693 0.765
O45 O 0.235 0.051 0.807
O46 O 0.935 0.230 0.514
O47 O 0.741 0.904 0.324
O48 O 0.259 0.404 0.176
Mo1 Mo 0.022 0.211 0.376
Mo2 Mo 0.289 0.624 0.522
Mo3 Mo 0.376 0.022 0.211
Mo4 Mo 0.876 0.478 0.789
Mo5 Mo 0.789 0.876 0.478
Mo6 Mo 0.211 0.376 0.022
Mo7 Mo 0.624 0.522 0.289
Mo8 Mo 0.711 0.124 0.978
Mo9 Mo 0.124 0.978 0.711
Mo10 Mo 0.522 0.289 0.624
Mo11 Mo 0.478 0.789 0.876
Mo12 Mo 0.978 0.711 0.124
K1 K 0.681 0.181 0.319
K2 K 0.554 0.446 0.946
K3 K 0.181 0.319 0.681
K4 K 0.446 0.946 0.554
K5 K 0.054 0.054 0.054
K6 K 0.319 0.681 0.181
K7 K 0.819 0.819 0.819
K8 K 0.946 0.554 0.446
Mg1 Mg 0.104 0.896 0.396
Mg2 Mg 0.336 0.336 0.336
Mg3 Mg 0.896 0.396 0.104
Mg4 Mg 0.604 0.604 0.604
Mg5 Mg 0.836 0.164 0.664
Mg6 Mg 0.664 0.836 0.164
Mg7 Mg 0.164 0.664 0.836
Mg8 Mg 0.396 0.104 0.896
```

Spin magnetization in Bohr magnetons per cell: 0.00

***

Q: Which of them is the least stable? A: version three.